First-principles (meta-GGA r2SCAN) data for a relaxed structure of PrAl5Ni2, as listed in the Materials Project.

Computed properties:
Volume   267.3 Å³/cell
Calculated formation energy   -624.4 meV/atom

abc: 3.9785 6.9968 9.6019
angles: 90.00 90.00 90.00
Last column: nearest neighbours and their distance in Å.
Space group Immm (No. 71)
Inequivalent atoms, fractional coordinates:
Pr 0.0000 0.0000 0.0000  4 Ni 3.22, 14 Al 3.32-3.52
Al 0.0000 0.1892 0.3398  3 Ni 2.39-2.50, 1 Al 2.65
Al 0.0000 0.5000 0.0000  2 Ni 2.27
Ni 0.0000 0.5000 0.2366  7 Al 2.27-2.50